1.
# H12PbN3Cl5 | Materials Project | PBE | optimized geometry
data_H12PbN3Cl5
_cell_length_a 8.391
_cell_length_b 15.994
_cell_length_c 8.720
_cell_angle_alpha 90.00
_cell_angle_beta 90.00
_cell_angle_gamma 90.00
_symmetry_space_group_name_H-M 'P n m a'
_symmetry_Int_Tables_number 62
loop_
_symmetry_equiv_pos_as_xyz
'x,y,z'
'-x,-y,-z'
'-x+1/2,-y,z+1/2'
'x+1/2,y,-z+1/2'
'x+1/2,-y+1/2,-z+1/2'
'-x+1/2,y+1/2,z+1/2'
'-x,y+1/2,-z'
'x,-y+1/2,z'
loop_
_atom_site_label
_atom_site_type_symbol
_atom_site_fract_x
_atom_site_fract_y
_atom_site_fract_z
H1 H 0.004 0.250 0.248
H2 H 0.017 0.750 0.944
H3 H 0.130 0.077 0.464
H4 H 0.137 0.197 0.138
H5 H 0.181 0.584 0.033
H6 H 0.215 0.551 0.853
H7 H 0.233 0.511 0.505
Pb1 Pb 0.082 0.750 0.343
N1 N 0.065 0.250 0.145
N2 N 0.242 0.050 0.464
Cl1 Cl 0.042 0.120 0.829
Cl2 Cl 0.129 0.620 0.625
Cl3 Cl 0.218 0.250 0.524
# - Final energy: -372.1 eV/cell
# - Energy of formation: -829 meV/atom
# - Corrected total energy (MP2020 scheme): -384.3 eV for the cell shown

2.
# H8PtN2Cl6 | Materials Project | PBE | optimized geometry
data_H8PtN2Cl6
_cell_length_a 10.012
_cell_length_b 10.012
_cell_length_c 10.012
_cell_angle_alpha 90.00
_cell_angle_beta 90.00
_cell_angle_gamma 90.00
_symmetry_space_group_name_H-M 'F m -3 m'
_symmetry_Int_Tables_number 225
_symmetry_space_group_name_Hall '-F 4 2 3'
loop_
_atom_site_label
_atom_site_type_symbol
_atom_site_fract_x
_atom_site_fract_y
_atom_site_fract_z
H1 H 0.190 0.190 0.190
Pt1 Pt 0.000 0.000 0.500
N1 N 0.250 0.250 0.250
Cl1 Cl 0.000 0.000 0.265
# - Final energy: -284.1 eV/cell
# - Energy of formation: -808 meV/atom
# - Corrected total energy (MP2020 scheme): -298.9 eV for the cell shown

3.
# HPtN5Cl4 | Materials Project | PBE | optimized geometry
data_HPtN5Cl4
_cell_length_a 18.9797
_cell_length_b 18.9797
_cell_length_c 7.6463
_cell_angle_alpha 90.00
_cell_angle_beta 90.00
_cell_angle_gamma 120.00
_symmetry_space_group_name_H-M 'R 3 m'
_symmetry_Int_Tables_number 160
_symmetry_space_group_name_Hall 'R 3 -2"'
loop_
_atom_site_label
_atom_site_type_symbol
_atom_site_fract_x
_atom_site_fract_y
_atom_site_fract_z
H1 H 0.1007 0.2014 0.0000
Pt1 Pt 0.2116 0.4233 0.0715
N1 N 0.0053 0.5027 0.1347
N2 N 0.0186 0.5093 0.5792
N3 N 0.1103 0.3863 0.1558
N4 N 0.1954 0.0977 0.1903
Cl1 Cl 0.0505 0.2470 0.9866
Cl2 Cl 0.1015 0.5508 0.1575
Cl3 Cl 0.1243 0.0622 0.5797
# - Final energy: -375.7 eV/cell
# - Energy of formation: 1304 meV/atom
# - Corrected total energy (MP2020 scheme): -397.8 eV for the cell shown